Computed, not measured: a relaxed HgF crystal at the PBE-GGA level of DFT.

Cell and atoms, written as POSCAR:
```
HgF
1.0
-1.9208 1.9208 5.5090
1.9208 -1.9208 5.5090
1.9208 1.9208 -5.5090
Hg F
2 2
direct
0.1171 0.1171 0.0000
0.8829 0.8829 0.0000
0.3139 0.3139 0.0000
0.6861 0.6861 0.0000
```

Values from the calculation:
Formation energy from the elements = -1.418 eV/atom
Total energy after the MP2020 corrections = -2.53 eV/atom
Space group = I4/mmm